# Na2ZrSi3O11 PBE relaxed
# Energy of formation from the pure elements   -2.5585 eV/atom
data_Na2ZrSi3O11
_space_group_name_H-M_alt 'P n a 21'
_space_group_IT_number 33
_cell_length_a 12.921
_cell_length_b 6.712
_cell_length_c 11.873
_cell_angle_alpha 90.00
_cell_angle_beta 90.00
_cell_angle_gamma 90.00
loop_
_space_group_symop_operation_xyz
'x,y,z'
'-x,-y,z+1/2'
'-x+1/2,y+1/2,z+1/2'
'x+1/2,-y+1/2,z'
loop_
_atom_site_label
_atom_site_fract_x
_atom_site_fract_y
_atom_site_fract_z
Na1 0.109 0.164 0.000
Na2 0.156 0.569 0.252
Zr1 0.053 0.848 0.753
Si1 0.084 0.109 0.502
Si2 0.109 0.350 0.717
Si3 0.212 0.108 0.287
O1 0.018 0.849 0.927
O2 0.034 0.537 0.742
O3 0.068 0.911 0.579
O4 0.076 0.154 0.787
O5 0.107 0.137 0.214
O6 0.108 0.306 0.580
O7 0.132 0.526 0.044
O8 0.187 0.077 0.422
O9 0.198 0.620 0.459
O10 0.213 0.800 0.771
O11 0.232 0.396 0.748

---

# Na2ZrSi3O11 PBE relaxed
# Energy of formation from the pure elements   -2.5471 eV/atom
data_Na2ZrSi3O11
_space_group_name_H-M_alt 'C 1 2/c 1'
_space_group_IT_number 15
_cell_length_a 7.546
_cell_length_b 13.234
_cell_length_c 10.141
_cell_angle_alpha 90.00
_cell_angle_beta 90.56
_cell_angle_gamma 90.00
loop_
_space_group_symop_operation_xyz
'x,y,z'
'-x,-y,-z'
'-x,y,-z+1/2'
'x,-y,z+1/2'
'x+1/2,y+1/2,z'
'-x+1/2,-y+1/2,-z'
'-x+1/2,y+1/2,-z+1/2'
'x+1/2,-y+1/2,z+1/2'
loop_
_atom_site_label
_atom_site_fract_x
_atom_site_fract_y
_atom_site_fract_z
Na1 0.000 0.000 0.000
Na2 0.250 0.250 0.000
Zr1 0.000 0.500 0.000
Si1 0.000 0.302 0.250
Si2 0.203 0.101 0.250
O1 0.000 0.052 0.250
O2 0.004 0.165 0.908
O3 0.006 0.369 0.117
O4 0.175 0.225 0.246
O5 0.201 0.437 0.617
O6 0.204 0.432 0.887

---

# Na5Zr2Si12O37 PBE relaxed
# Energy of formation from the pure elements   -2.5299 eV/atom
data_Na5Zr2Si12O37
_space_group_name_H-M_alt 'C 1 2 1'
_space_group_IT_number 5
_cell_length_a 18.086
_cell_length_b 10.483
_cell_length_c 10.818
_cell_angle_alpha 90.00
_cell_angle_beta 123.59
_cell_angle_gamma 90.00
loop_
_space_group_symop_operation_xyz
'x,y,z'
'-x,y,-z'
'x+1/2,y+1/2,z'
'-x+1/2,y+1/2,-z'
loop_
_atom_site_label
_atom_site_fract_x
_atom_site_fract_y
_atom_site_fract_z
Na1 0.000 0.000 0.000
Na2 0.248 0.234 0.997
Na3 0.249 0.735 0.498
Zr1 0.249 0.494 0.749
Si1 0.105 0.220 0.597
Si2 0.105 0.720 0.096
Si3 0.107 0.270 0.091
Si4 0.107 0.770 0.591
Si5 0.114 0.995 0.401
Si6 0.115 0.496 0.900
O1 0.000 0.248 0.000
O2 0.000 0.259 0.500
O3 0.000 0.506 0.500
O4 0.000 0.754 0.500
O5 0.000 0.762 0.000
O6 0.017 0.487 0.741
O7 0.021 0.990 0.239
O8 0.121 0.119 0.499
O9 0.121 0.619 0.998
O10 0.129 0.367 0.996
O11 0.131 0.867 0.499
O12 0.137 0.165 0.759
O13 0.137 0.664 0.259
O14 0.151 0.316 0.261
O15 0.152 0.815 0.762
O16 0.155 0.134 0.107
O17 0.157 0.636 0.607
O18 0.162 0.848 0.120
O19 0.165 0.345 0.622
O20 0.195 0.005 0.376
O21 0.196 0.506 0.878

---

# Na2ZrSi3O10 PBE relaxed
# Energy of formation from the pure elements   -2.8203 eV/atom
data_Na2ZrSi3O10
_space_group_name_H-M_alt 'P 21 21 21'
_space_group_IT_number 19
_cell_length_a 7.161
_cell_length_b 10.294
_cell_length_c 13.403
_cell_angle_alpha 90.00
_cell_angle_beta 90.00
_cell_angle_gamma 90.00
loop_
_space_group_symop_operation_xyz
'x,y,z'
'-x+1/2,-y,z+1/2'
'x+1/2,-y+1/2,-z'
'-x,y+1/2,-z+1/2'
loop_
_atom_site_label
_atom_site_fract_x
_atom_site_fract_y
_atom_site_fract_z
Na1 0.186 0.236 0.147
Na2 0.250 0.085 0.411
Zr1 0.237 0.543 0.203
Si1 0.007 0.184 0.670
Si2 0.070 0.848 0.166
Si3 0.233 0.475 0.447
O1 0.006 0.225 0.917
O2 0.010 0.418 0.234
O3 0.021 0.409 0.438
O4 0.027 0.341 0.675
O5 0.037 0.691 0.175
O6 0.094 0.626 0.731
O7 0.122 0.649 0.929
O8 0.209 0.114 0.651
O9 0.232 0.468 0.057
O10 0.246 0.420 0.857

---

# Na4Zr2Si3O12 PBE relaxed
# Energy of formation from the pure elements   -3.1203 eV/atom
data_Na4Zr2Si3O12
_space_group_name_H-M_alt 'R 3 c'
_space_group_IT_number 161
_space_group_name_Hall 'R 3 -2"c'
_cell_length_a 9.3200
_cell_length_b 9.3200
_cell_length_c 22.4497
_cell_angle_alpha 90.00
_cell_angle_beta 90.00
_cell_angle_gamma 120.00
loop_
_atom_site_label
_atom_site_fract_x
_atom_site_fract_y
_atom_site_fract_z
Na1 0.0000 0.0000 0.0000
Na2 0.0336 0.3365 0.0868
Zr1 0.0000 0.0000 0.1458
Zr2 0.0000 0.0000 0.3524
Si1 0.0008 0.2974 0.2489
O1 0.0161 0.2026 0.1895
O2 0.0180 0.1854 0.9149
O3 0.1486 0.4666 0.9742
O4 0.1677 0.4813 0.2500

---

# Na2ZrSi3O11 PBE relaxed
# Energy of formation from the pure elements   -2.5303 eV/atom
data_Na2ZrSi3O11
_space_group_name_H-M_alt 'C 1 2/c 1'
_space_group_IT_number 15
_cell_length_a 7.462
_cell_length_b 12.867
_cell_length_c 10.415
_cell_angle_alpha 90.00
_cell_angle_beta 90.17
_cell_angle_gamma 90.00
loop_
_space_group_symop_operation_xyz
'x,y,z'
'-x,-y,-z'
'-x,y,-z+1/2'
'x,-y,z+1/2'
'x+1/2,y+1/2,z'
'-x+1/2,-y+1/2,-z'
'-x+1/2,y+1/2,-z+1/2'
'x+1/2,-y+1/2,z+1/2'
loop_
_atom_site_label
_atom_site_fract_x
_atom_site_fract_y
_atom_site_fract_z
Na1 0.043 0.180 0.025
Zr1 0.000 0.500 0.000
Si1 0.000 0.304 0.750
Si2 0.205 0.098 0.751
O1 0.000 0.000 0.000
O2 0.000 0.048 0.750
O3 0.001 0.366 0.884
O4 0.179 0.227 0.757
O5 0.195 0.434 0.380
O6 0.200 0.431 0.113
O7 0.250 0.250 0.500

---

# Na2ZrSi3O10 PBE relaxed
# Energy of formation from the pure elements   -2.8389 eV/atom
data_Na2ZrSi3O10
_space_group_name_H-M_alt 'P 21 21 21'
_space_group_IT_number 19
_cell_length_a 7.353
_cell_length_b 10.041
_cell_length_c 13.532
_cell_angle_alpha 90.00
_cell_angle_beta 90.00
_cell_angle_gamma 90.00
loop_
_space_group_symop_operation_xyz
'x,y,z'
'-x+1/2,-y,z+1/2'
'x+1/2,-y+1/2,-z'
'-x,y+1/2,-z+1/2'
loop_
_atom_site_label
_atom_site_fract_x
_atom_site_fract_y
_atom_site_fract_z
Na1 0.010 0.245 0.097
Na2 0.229 0.919 0.830
Zr1 0.242 0.463 0.702
Si1 0.020 0.828 0.166
Si2 0.071 0.145 0.663
Si3 0.238 0.518 0.942
O1 0.009 0.572 0.738
O2 0.037 0.587 0.935
O3 0.039 0.667 0.173
O4 0.058 0.307 0.669
O5 0.067 0.384 0.231
O6 0.110 0.363 0.429
O7 0.178 0.763 0.548
O8 0.216 0.903 0.150
O9 0.228 0.591 0.354
O10 0.244 0.546 0.554

---

# NaSmO2 PBE relaxed
# Energy of formation from the pure elements   -3.0501 eV/atom
data_NaSmO2
_space_group_name_H-M_alt 'I 41/a m d'
_space_group_IT_number 141
_cell_length_a 4.719
_cell_length_b 4.719
_cell_length_c 10.792
_cell_angle_alpha 90.00
_cell_angle_beta 90.00
_cell_angle_gamma 90.00
loop_
_space_group_symop_operation_xyz
'x,y,z'
'-x,-y,-z'
'-y+1/4,x+3/4,z+1/4'
'y+1/4,-x+3/4,-z+1/4'
'-x+1/2,-y,z+1/2'
'x+1/2,y,-z+1/2'
'y+1/4,-x+1/4,z+3/4'
'-y+1/4,x+1/4,-z+3/4'
'x,-y,-z'
'-x,y,z'
'-y+1/4,-x+1/4,-z+3/4'
'y+1/4,x+1/4,z+3/4'
'-x+1/2,y,-z+1/2'
'x+1/2,-y,z+1/2'
'y+1/4,x+3/4,-z+1/4'
'-y+1/4,-x+3/4,z+1/4'
'x+1/2,y+1/2,z+1/2'
'-x+1/2,-y+1/2,-z+1/2'
'-y+3/4,x+1/4,z+3/4'
'y+3/4,-x+1/4,-z+3/4'
'-x,-y+1/2,z'
'x,y+1/2,-z'
'y+3/4,-x+3/4,z+1/4'
'-y+3/4,x+3/4,-z+1/4'
'x+1/2,-y+1/2,-z+1/2'
'-x+1/2,y+1/2,z+1/2'
'-y+3/4,-x+3/4,-z+1/4'
'y+3/4,x+3/4,z+1/4'
'-x,y+1/2,-z'
'x,-y+1/2,z'
'y+3/4,x+1/4,-z+3/4'
'-y+3/4,-x+1/4,z+3/4'
loop_
_atom_site_label
_atom_site_fract_x
_atom_site_fract_y
_atom_site_fract_z
Na1 0.000 0.250 0.375
Sm1 0.000 0.250 0.875
O1 0.000 0.250 0.095

---

# NaSmO2 PBE relaxed
# Energy of formation from the pure elements   -3.0251 eV/atom
data_NaSmO2
_space_group_name_H-M_alt 'R -3 m'
_space_group_IT_number 166
_space_group_name_Hall '-R 3 2"'
_cell_length_a 3.5332
_cell_length_b 3.5332
_cell_length_c 16.8441
_cell_angle_alpha 90.00
_cell_angle_beta 90.00
_cell_angle_gamma 120.00
loop_
_atom_site_label
_atom_site_fract_x
_atom_site_fract_y
_atom_site_fract_z
Na1 0.0000 0.0000 0.0000
Sm1 0.0000 0.0000 0.5000
O1 0.0000 0.0000 0.2381

---

Looking at electronic total energy for the records above, in order, we have -6.931, -6.920, -6.931, -7.200, -7.396, -6.903, -7.219, -6.691, -6.666 eV/atom.